Material: ZnNiAs2O7
Method: DFT, meta-GGA r2SCAN
State: optimized geometry

extended XYZ file:
```
44
Lattice="8.506 0.000 0.000 0.000 7.173 0.052 0.000 3.828 8.742" Properties=species:S:1:pos:R:3 pbc="T T T"
Zn 0.554 8.664 7.788
Zn 4.807 4.251 5.377
Zn 7.952 2.337 1.006
Zn 3.699 6.750 3.417
Ni 7.943 3.966 5.940
Ni 3.690 8.948 7.225
Ni 0.563 7.034 2.854
Ni 4.816 2.052 1.569
As 6.472 6.876 6.726
As 2.219 6.039 6.439
As 2.033 4.125 2.068
As 6.286 4.962 2.355
As 6.159 10.684 8.474
As 1.906 2.230 4.691
As 2.347 0.316 0.320
As 6.600 8.770 4.103
O 6.290 1.155 0.505
O 2.037 7.932 3.918
O 2.216 9.846 8.289
O 6.469 3.069 4.877
O 4.987 7.499 7.123
O 0.734 5.416 6.042
O 3.518 3.502 1.671
O 7.771 5.585 2.752
O 7.678 7.177 7.867
O 3.425 5.737 5.298
O 0.828 3.823 0.927
O 5.081 5.263 3.496
O 7.092 7.543 5.231
O 2.839 5.372 7.935
O 1.414 3.458 3.563
O 5.667 5.629 0.860
O 7.901 1.456 2.988
O 3.648 7.630 1.435
O 0.605 9.544 5.806
O 4.858 3.370 7.360
O 6.353 3.321 1.944
O 2.100 5.766 2.479
O 2.153 7.680 6.850
O 6.406 5.235 6.315
O 5.117 8.327 3.415
O 0.865 0.759 1.008
O 3.388 2.673 5.380
O 7.641 10.241 7.786
```

Results
The total magnetic moment is 2.0 μB/f.u. The value obtained for the total energy is -429.17 eV per cell. For the calculated formation energy, the calculation gives -15.2 eV per formula unit.

Material: PrNi2As2
Method: DFT, meta-GGA r2SCAN
State: optimized geometry

extended XYZ file:
```
10
Lattice="4.215 0.000 0.000 0.000 4.215 0.000 0.000 0.000 9.412" Properties=species:S:1:pos:R:3 pbc="T T T"
Pr 3.162 3.162 2.334
Pr 1.054 1.054 7.078
Ni 3.162 1.054 0.000
Ni 1.054 3.162 0.000
Ni 3.162 3.162 5.800
Ni 1.054 1.054 3.612
As 3.162 1.054 4.706
As 1.054 3.162 4.706
As 3.162 3.162 8.204
As 1.054 1.054 1.207
```

Results
The total magnetic moment is 0.0 μB/f.u. The value obtained for the total energy is -174.39 eV per cell. For the calculated formation energy, the calculation gives -4.4 eV per formula unit.

Material: PrNiAs
Method: DFT, meta-GGA r2SCAN
State: optimized geometry

extended XYZ file:
```
12
Lattice="0.445 2.528 3.218 -1.077 -3.928 0.601 15.772 -4.158 1.085" Properties=species:S:1:pos:R:3 pbc="T T T"
Pr 3.943 -1.040 0.271
Pr 11.829 -3.119 0.814
Pr 0.000 0.000 0.000
Pr 7.886 -2.079 0.542
Ni 1.416 -2.299 1.610
Ni 13.723 -3.258 3.294
Ni 9.810 -2.226 3.025
Ni 5.330 -3.331 1.880
As 9.274 -4.371 2.151
As 5.866 -1.187 2.754
As 1.895 -0.140 2.481
As 13.245 -5.418 2.424
```

Results
The total magnetic moment is 0.0 μB/f.u. The value obtained for the total energy is -237.82 eV per cell. For the calculated formation energy, the calculation gives -3.4 eV per formula unit.

Material: PrNiAs
Method: DFT, meta-GGA r2SCAN
State: optimized geometry

extended XYZ file:
```
3
Lattice="2.056 -3.561 0.000 2.056 3.561 0.000 0.000 0.000 4.108" Properties=species:S:1:pos:R:3 pbc="T T T"
Pr 2.056 -1.187 2.054
Ni 2.056 1.187 0.000
As 0.000 0.000 0.000
```

Results
The total magnetic moment is 0.2 μB/f.u. The value obtained for the total energy is -59.44 eV per cell. For the calculated formation energy, the calculation gives -3.3 eV per formula unit.

Material: Rb2NiAs2
Method: DFT, meta-GGA r2SCAN
State: optimized geometry

extended XYZ file:
```
10
Lattice="-4.804 6.102 -1.593 2.307 -2.744 7.071 4.659 3.640 -0.108" Properties=species:S:1:pos:R:3 pbc="T T T"
Rb -2.158 5.170 0.185
Rb 4.320 1.828 5.186
Rb 0.566 1.781 3.504
Rb 1.596 5.217 1.867
Ni 0.000 0.000 0.000
Ni 2.329 1.820 -0.054
As -1.575 4.526 3.662
As 3.737 2.472 1.709
As 0.046 2.345 0.104
As 2.115 4.653 5.267
```

Results
The total magnetic moment is 0.0 μB/f.u. The value obtained for the total energy is -143.63 eV per cell. For the calculated formation energy, the calculation gives -2.6 eV per formula unit.

Material: NiAsRh
Method: DFT, meta-GGA r2SCAN
State: optimized geometry

extended XYZ file:
```
6
Lattice="-3.407 -0.656 -0.904 1.103 -2.424 -2.401 -0.293 -4.363 4.270" Properties=species:S:1:pos:R:3 pbc="T T T"
Ni -0.024 -1.982 -2.027
Ni -2.280 -1.098 -1.278
As -0.650 -1.865 0.245
As -1.948 -5.578 0.720
Rh -0.763 -3.555 1.900
Rh -1.834 -3.888 -0.934
```

Results
The total magnetic moment is 0.0 μB/f.u. The value obtained for the total energy is -104.20 eV per cell. For the calculated formation energy, the calculation gives -1.3 eV per formula unit.

Material: ScNi4As2
Method: DFT, meta-GGA r2SCAN
State: optimized geometry

extended XYZ file:
```
14
Lattice="7.049 0.000 0.000 0.000 7.049 0.000 0.000 0.000 3.713" Properties=species:S:1:pos:R:3 pbc="T T T"
Sc 3.525 3.525 0.000
Sc 0.000 0.000 1.857
Ni 4.155 1.091 1.857
Ni 2.895 5.958 1.857
Ni 0.630 2.433 0.000
Ni 6.419 4.616 0.000
Ni 1.091 4.155 1.857
Ni 5.958 2.895 1.857
Ni 2.433 0.630 0.000
Ni 4.616 6.419 0.000
As 5.058 5.058 1.857
As 1.991 1.991 1.857
As 1.533 5.516 0.000
As 5.516 1.533 0.000
```

Results
The total magnetic moment is 0.0 μB/f.u. The value obtained for the total energy is -185.90 eV per cell. For the calculated formation energy, the calculation gives -4.2 eV per formula unit.

Material: SmNiAs
Method: DFT, meta-GGA r2SCAN
State: optimized geometry

extended XYZ file:
```
3
Lattice="-1.554 2.375 -2.900 2.588 -2.968 -0.979 -3.077 -2.540 -0.432" Properties=species:S:1:pos:R:3 pbc="T T T"
Sm 0.000 0.000 0.000
Ni -0.331 -2.457 -1.835
As -1.712 -0.676 -2.475
```

Results
The total magnetic moment is 0.0 μB/f.u. The value obtained for the total energy is -59.88 eV per cell. For the calculated formation energy, the calculation gives -3.5 eV per formula unit.